DFT (GGA+U) results for crystalline Li7Ni13O24 at its relaxed geometry.

M_tot	11.00	μB per cell
total energy after the MP2020 corrections	-0.43788	Ry per atom
raw total energy	-4.832	eV/atom
space group	C2/m, No. 12
crystal system	monoclinic
energy of formation	-1.247	eV per atom

a = 7.6063 Å, b = 7.6063 Å, c = 9.6964 Å
α = 58.49°, β = 58.49°, γ = 69.27°
Closest atoms and distances in Å follow each position.
Atoms (fractional coordinates):
Li1 0.3247 0.6753 0.0000  6 O 2.10-2.12
Li2 0.2511 0.2511 0.2528  6 O 1.99-2.17
Li3 0.1644 0.8356 0.5000  6 O 2.10-2.18
Li4 0.0000 0.0000 0.0000  6 O 2.13-2.16
Li5 0.8356 0.1644 0.5000  6 O 2.10-2.18
Li6 0.7489 0.7489 0.7472  6 O 1.99-2.17
Li7 0.6753 0.3247 0.0000  6 O 2.10-2.12
Ni1 0.2935 0.9660 0.1244  6 O 1.88-2.06
Ni2 0.2093 0.5409 0.3731  6 O 1.89-2.04
Ni3 0.1241 0.1241 0.6306  6 O 1.90-2.08
Ni4 0.8759 0.8759 0.3694  6 O 1.90-2.08
Ni5 0.3753 0.3753 0.8705  6 O 1.87-1.91
Ni6 0.7907 0.4591 0.6269  6 O 1.89-2.04
Ni7 0.0340 0.7065 0.8756  6 O 1.88-2.06
Ni8 0.9660 0.2935 0.1244  6 O 1.88-2.06
Ni9 0.5000 0.5000 0.5000  6 O 2.01-2.06
Ni10 0.7065 0.0340 0.8756  6 O 1.88-2.06
Ni11 0.6247 0.6247 0.1295  6 O 1.87-1.91
Ni12 0.5409 0.2093 0.3731  6 O 1.89-2.04
Ni13 0.4591 0.7907 0.6269  6 O 1.89-2.04
O1 0.3240 0.3240 0.5337  4 Ni 1.90-2.04
O2 0.2137 0.8854 0.8038  3 Ni 1.88-1.98, 1 Li 2.10
O3 0.3474 0.0370 0.4532  3 Ni 1.90-2.03, 1 Li 2.07
O4 0.1972 0.1972 0.9422  3 Ni 1.87-1.99
O5 0.2882 0.6041 0.6939  4 Ni 1.89-2.06
O6 0.9630 0.6526 0.5468  3 Ni 1.90-2.03, 1 Li 2.07
O7 0.1146 0.7863 0.1962  3 Ni 1.88-1.98, 1 Li 2.10
O8 0.8854 0.2137 0.8038  3 Ni 1.88-1.98, 1 Li 2.10
O9 0.0370 0.3474 0.4532  3 Ni 1.90-2.03, 1 Li 2.07
O10 0.9284 0.9284 0.7007  3 Ni 1.96-2.08, 3 Li 1.99-2.10
O11 0.1565 0.4705 0.0389  3 Ni 1.87-2.00
O12 0.0716 0.0716 0.2993  3 Ni 1.96-2.08, 3 Li 1.99-2.10
O13 0.6760 0.6760 0.4663  4 Ni 1.90-2.04
O14 0.6041 0.2882 0.6939  4 Ni 1.89-2.06
O15 0.8028 0.8028 0.0578  3 Ni 1.87-1.99
O16 0.7118 0.3959 0.3061  4 Ni 1.89-2.06
O17 0.8435 0.5295 0.9611  3 Ni 1.87-2.00
O18 0.6526 0.9630 0.5468  3 Ni 1.90-2.03, 1 Li 2.07
O19 0.7863 0.1146 0.1962  3 Ni 1.88-1.98, 1 Li 2.10
O20 0.4705 0.1565 0.0389  3 Ni 1.87-2.00
O21 0.5496 0.5496 0.8180  3 Ni 1.90-2.04, 3 Li 2.10-2.13
O22 0.3959 0.7118 0.3061  4 Ni 1.89-2.06
O23 0.5295 0.8435 0.9611  3 Ni 1.87-2.00
O24 0.4504 0.4504 0.1820  3 Ni 1.90-2.04, 3 Li 2.10-2.13



DFT (GGA+U) results for crystalline Na3Mo4P5O24 at its relaxed geometry.

M_tot	8.00	μB per cell
total energy after the MP2020 corrections	-0.57254	Ry per atom
raw total energy	-6.976	eV/atom
space group	Cc, No. 9
crystal system	monoclinic
energy of formation	-2.424	eV per atom

a = 8.6476 Å, b = 9.5736 Å, c = 14.1890 Å
α = 93.18°, β = 72.26°, γ = 116.85°
Closest atoms and distances in Å follow each position.
Atoms (fractional coordinates):
Na1 0.3024 0.0232 0.7308  6 O 2.48-2.74
Na2 0.0158 0.4777 0.7670  5 O 2.45-2.66
Na3 0.6948 0.9777 0.2670  5 O 2.45-2.66
Na4 0.9900 0.5232 0.2308  6 O 2.48-2.74
Na5 0.5416 0.4633 0.9270  3 O 2.31-2.41
Na6 0.9947 0.9633 0.4270  3 O 2.31-2.41
Mo1 0.4682 0.4909 0.6794  1 O 1.72
Mo2 0.6610 0.0094 0.8191  1 O 1.72
Mo3 0.5292 0.5094 0.3191  1 O 1.72
Mo4 0.3433 0.9909 0.1794  1 O 1.72
Mo5 0.8106 0.2220 0.4839  1 O 1.70
Mo6 0.0720 0.2800 0.0181  1 O 1.70
Mo7 0.1898 0.7800 0.5181  1 O 1.70
Mo8 0.9274 0.7220 0.9839  1 O 1.70
P1 0.8516 0.7495 0.7500  4 O 1.54-1.56
P2 0.1478 0.2495 0.2500  4 O 1.54-1.56
P3 0.1951 0.4425 0.5407  4 O 1.53-1.57
P4 0.2947 0.0572 0.9584  4 O 1.53-1.57
P5 0.8042 0.5572 0.4584  4 O 1.53-1.57
P6 0.7067 0.9425 0.0407  4 O 1.53-1.57
P7 0.5583 0.8738 0.6043  4 O 1.52-1.57
P8 0.2880 0.6272 0.8953  4 O 1.52-1.57
P9 0.4438 0.1272 0.3953  4 O 1.52-1.57
P10 0.7112 0.3738 0.1043  4 O 1.52-1.57
O1 0.2447 0.4023 0.6280  1 P 1.55
O2 0.4728 0.1001 0.8719  1 P 1.54
O3 0.7555 0.6001 0.3719  1 P 1.54
O4 0.5297 0.9023 0.1280  1 P 1.55
O5 0.0510 0.2895 0.5152  1 P 1.55
O6 0.2815 0.2130 0.9825  1 P 1.56
O7 0.9489 0.7130 0.4825  1 P 1.56
O8 0.7233 0.7895 0.0152  1 P 1.55
O9 0.6889 0.6062 0.7302  1 P 1.55
O10 0.8117 0.8908 0.7732  1 P 1.54
O11 0.3059 0.3908 0.2732  1 P 1.54
O12 0.1872 0.1062 0.2302  1 P 1.55
O13 0.6098 0.1282 0.4167  1 P 1.55
O14 0.8975 0.3723 0.0837  1 P 1.55
O15 0.3911 0.8723 0.5837  1 P 1.55
O16 0.1016 0.6282 0.9167  1 P 1.55
O17 0.5518 0.7126 0.6045  1 P 1.52
O18 0.4427 0.7882 0.8948  1 P 1.52
O19 0.4507 0.2882 0.3948  1 P 1.52
O20 0.5563 0.2126 0.1045  1 P 1.52
O21 0.6344 0.4738 0.5485  1 P 1.53
O22 0.7082 0.0260 0.9513  1 P 1.53
O23 0.3666 0.5260 0.4513  1 P 1.53
O24 0.2908 0.9738 0.0485  1 P 1.53
O25 0.4029 0.3094 0.7359  1 Mo 1.72
O26 0.8275 0.1939 0.7659  1 Mo 1.72
O27 0.6005 0.6939 0.2659  1 Mo 1.72
O28 0.1706 0.8094 0.2359  1 Mo 1.72
O29 0.9680 0.1857 0.3396  1 P 1.56
O30 0.1133 0.3067 0.1623  1 P 1.55
O31 0.0311 0.8067 0.6623  1 P 1.55
O32 0.8782 0.6857 0.8396  1 P 1.56
O33 0.7390 0.9859 0.5229  1 P 1.57
O34 0.2800 0.5127 0.9735  1 P 1.57
O35 0.2592 0.0127 0.4735  1 P 1.57
O36 0.7241 0.4859 0.0229  1 P 1.57
O37 0.8919 0.4446 0.4205  1 P 1.57
O38 0.8678 0.0561 0.0796  1 P 1.57
O39 0.1088 0.5561 0.5796  1 P 1.57
O40 0.1322 0.9446 0.9205  1 P 1.57
O41 0.3124 0.5614 0.7917  1 P 1.56
O42 0.5450 0.9395 0.7074  1 P 1.55
O43 0.6871 0.4395 0.2074  1 P 1.55
O44 0.4573 0.0614 0.2917  1 P 1.56
O45 0.6875 0.2385 0.5991  1 Mo 1.70
O46 0.0476 0.2600 0.9027  1 Mo 1.70
O47 0.3097 0.7600 0.4027  1 Mo 1.70
O48 0.9519 0.7385 0.0991  1 Mo 1.70



DFT (GGA+U) results for crystalline Li8Mn3Fe5B8O24 at its relaxed geometry.

M_tot	35.00	μB per cell
total energy after the MP2020 corrections	-0.57001	Ry per atom
raw total energy	-7.073	eV/atom
space group	P1, No. 1
crystal system	triclinic
energy relative to the lowest polymorph listed for this composition	2	meV per atom
energy of formation	-2.395	eV per atom

a = 6.0073 Å, b = 9.7284 Å, c = 9.7691 Å
α = 64.98°, β = 79.56°, γ = 78.60°
Closest atoms and distances in Å follow each position.
Atoms (fractional coordinates):
Li1 0.0469 0.4658 0.8153  4 O 1.95-2.06
Li2 0.0429 0.9647 0.3114  4 O 1.92-2.08
Li3 0.4561 0.0343 0.1877  4 O 1.96-2.04
Li4 0.5426 0.4668 0.3123  4 O 1.94-2.05
Li5 0.4551 0.5340 0.6871  4 O 1.95-2.06
Li6 0.5443 0.9663 0.8141  4 O 1.95-2.05
Li7 0.9543 0.0355 0.6855  4 O 1.94-2.05
Li8 0.9560 0.5345 0.1885  4 O 1.93-2.07
Mn1 0.3149 0.2946 0.6233  4 O 2.09-2.21
Mn2 0.6859 0.2053 0.8779  4 O 2.08-2.21
Mn3 0.8141 0.7942 0.6229  4 O 2.08-2.20
Fe1 0.1822 0.2027 0.3723  4 O 2.03-2.21
Fe2 0.3168 0.7911 0.1224  4 O 2.04-2.18
Fe3 0.1822 0.7071 0.8718  4 O 2.00-2.23
Fe4 0.8173 0.2959 0.1294  4 O 2.02-2.21
Fe5 0.6811 0.7080 0.3690  4 O 2.00-2.20
B1 0.3332 0.3683 0.0417  3 O 1.38-1.40
B2 0.1694 0.1307 0.9649  3 O 1.38-1.40
B3 0.1648 0.6345 0.4598  3 O 1.38-1.40
B4 0.3339 0.8670 0.5392  3 O 1.38-1.40
B5 0.6657 0.1328 0.4596  3 O 1.38-1.40
B6 0.8308 0.3684 0.5371  3 O 1.38-1.40
B7 0.8378 0.8661 0.0376  3 O 1.38-1.40
B8 0.6678 0.6314 0.9622  3 O 1.38-1.41
O1 0.1809 0.0116 0.1066  1 B 1.38
O2 0.0108 0.2474 0.5612  1 B 1.40
O3 0.0161 0.7438 0.0637  1 B 1.40
O4 0.1590 0.3653 0.1585  1 B 1.40
O5 0.1755 0.5182 0.6032  1 B 1.38
O6 0.5128 0.2473 0.0684  1 B 1.40
O7 0.1659 0.8646 0.6589  1 B 1.39
O8 0.3395 0.1342 0.8465  1 B 1.39
O9 0.3383 0.6387 0.3426  1 B 1.39
O10 0.4858 0.2533 0.4316  1 B 1.40
O11 0.3240 0.4863 0.8992  1 B 1.38
O12 0.3188 0.9863 0.3982  1 B 1.38
O13 0.6754 0.0165 0.6033  1 B 1.38
O14 0.6786 0.5127 0.1040  1 B 1.38
O15 0.5119 0.7457 0.5612  1 B 1.40
O16 0.6601 0.3653 0.6551  1 B 1.39
O17 0.6673 0.8652 0.1557  1 B 1.40
O18 0.8391 0.1337 0.3430  1 B 1.40
O19 0.4867 0.7524 0.9384  1 B 1.41
O20 0.8191 0.4869 0.3954  1 B 1.38
O21 0.8389 0.6352 0.8450  1 B 1.39
O22 0.9898 0.2523 0.9401  1 B 1.40
O23 0.9832 0.7544 0.4322  1 B 1.40
O24 0.8261 0.9827 0.8951  1 B 1.38



Question: Which of these has the highest M_tot?
Answer: Li8Mn3Fe5B8O24



Please write out number 1 again, unchanged.
DFT (GGA+U) results for crystalline Li7Ni13O24 at its relaxed geometry.

M_tot	11.00	μB per cell
total energy after the MP2020 corrections	-0.43788	Ry per atom
raw total energy	-4.832	eV/atom
space group	C2/m, No. 12
crystal system	monoclinic
energy of formation	-1.247	eV per atom

a = 7.6063 Å, b = 7.6063 Å, c = 9.6964 Å
α = 58.49°, β = 58.49°, γ = 69.27°
Closest atoms and distances in Å follow each position.
Atoms (fractional coordinates):
Li1 0.3247 0.6753 0.0000  6 O 2.10-2.12
Li2 0.2511 0.2511 0.2528  6 O 1.99-2.17
Li3 0.1644 0.8356 0.5000  6 O 2.10-2.18
Li4 0.0000 0.0000 0.0000  6 O 2.13-2.16
Li5 0.8356 0.1644 0.5000  6 O 2.10-2.18
Li6 0.7489 0.7489 0.7472  6 O 1.99-2.17
Li7 0.6753 0.3247 0.0000  6 O 2.10-2.12
Ni1 0.2935 0.9660 0.1244  6 O 1.88-2.06
Ni2 0.2093 0.5409 0.3731  6 O 1.89-2.04
Ni3 0.1241 0.1241 0.6306  6 O 1.90-2.08
Ni4 0.8759 0.8759 0.3694  6 O 1.90-2.08
Ni5 0.3753 0.3753 0.8705  6 O 1.87-1.91
Ni6 0.7907 0.4591 0.6269  6 O 1.89-2.04
Ni7 0.0340 0.7065 0.8756  6 O 1.88-2.06
Ni8 0.9660 0.2935 0.1244  6 O 1.88-2.06
Ni9 0.5000 0.5000 0.5000  6 O 2.01-2.06
Ni10 0.7065 0.0340 0.8756  6 O 1.88-2.06
Ni11 0.6247 0.6247 0.1295  6 O 1.87-1.91
Ni12 0.5409 0.2093 0.3731  6 O 1.89-2.04
Ni13 0.4591 0.7907 0.6269  6 O 1.89-2.04
O1 0.3240 0.3240 0.5337  4 Ni 1.90-2.04
O2 0.2137 0.8854 0.8038  3 Ni 1.88-1.98, 1 Li 2.10
O3 0.3474 0.0370 0.4532  3 Ni 1.90-2.03, 1 Li 2.07
O4 0.1972 0.1972 0.9422  3 Ni 1.87-1.99
O5 0.2882 0.6041 0.6939  4 Ni 1.89-2.06
O6 0.9630 0.6526 0.5468  3 Ni 1.90-2.03, 1 Li 2.07
O7 0.1146 0.7863 0.1962  3 Ni 1.88-1.98, 1 Li 2.10
O8 0.8854 0.2137 0.8038  3 Ni 1.88-1.98, 1 Li 2.10
O9 0.0370 0.3474 0.4532  3 Ni 1.90-2.03, 1 Li 2.07
O10 0.9284 0.9284 0.7007  3 Ni 1.96-2.08, 3 Li 1.99-2.10
O11 0.1565 0.4705 0.0389  3 Ni 1.87-2.00
O12 0.0716 0.0716 0.2993  3 Ni 1.96-2.08, 3 Li 1.99-2.10
O13 0.6760 0.6760 0.4663  4 Ni 1.90-2.04
O14 0.6041 0.2882 0.6939  4 Ni 1.89-2.06
O15 0.8028 0.8028 0.0578  3 Ni 1.87-1.99
O16 0.7118 0.3959 0.3061  4 Ni 1.89-2.06
O17 0.8435 0.5295 0.9611  3 Ni 1.87-2.00
O18 0.6526 0.9630 0.5468  3 Ni 1.90-2.03, 1 Li 2.07
O19 0.7863 0.1146 0.1962  3 Ni 1.88-1.98, 1 Li 2.10
O20 0.4705 0.1565 0.0389  3 Ni 1.87-2.00
O21 0.5496 0.5496 0.8180  3 Ni 1.90-2.04, 3 Li 2.10-2.13
O22 0.3959 0.7118 0.3061  4 Ni 1.89-2.06
O23 0.5295 0.8435 0.9611  3 Ni 1.87-2.00
O24 0.4504 0.4504 0.1820  3 Ni 1.90-2.04, 3 Li 2.10-2.13



Question: energy of formation of number 3 (Li8Mn3Fe5B8O24)?
Answer: -2.395 eV per atom